The following is a PBE-GGA calculation of Y16Ti16O35 after structural relaxation, from the Materials Project database.

abc: 7.042 7.058 23.294
angles: 82.48 81.88 60.32
Positions (direct):
Y 0.000 0.000 0.000
Y 0.003 0.487 0.996
Y 0.128 0.121 0.121
Y 0.231 0.751 0.751
Y 0.259 0.254 0.247
Y 0.263 0.739 0.251
Y 0.389 0.362 0.371
Y 0.476 0.006 0.998
Y 0.493 0.991 0.499
Y 0.514 0.485 0.497
Y 0.634 0.609 0.622
Y 0.735 0.239 0.745
Y 0.742 0.259 0.248
Y 0.748 0.740 0.750
Y 0.865 0.870 0.874
Y 0.984 0.495 0.501
Ti 0.089 0.643 0.625
Ti 0.100 0.112 0.619
Ti 0.160 0.613 0.110
Ti 0.244 0.240 0.750
Ti 0.355 0.353 0.870
Ti 0.361 0.883 0.874
Ti 0.432 0.805 0.374
Ti 0.485 0.494 0.004
Ti 0.608 0.145 0.120
Ti 0.610 0.623 0.120
Ti 0.683 0.043 0.623
Ti 0.725 0.756 0.255
Ti 0.841 0.400 0.372
Ti 0.855 0.870 0.378
Ti 0.886 0.360 0.873
Ti 0.989 0.007 0.506
O 0.021 0.432 0.600
O 0.027 0.624 0.238
O 0.040 0.501 0.897
O 0.112 0.117 0.713
O 0.115 0.538 0.709
O 0.119 0.335 0.341
O 0.174 0.741 0.355
O 0.254 0.708 0.850
O 0.285 0.845 0.465
O 0.290 0.744 0.152
O 0.291 0.313 0.150
O 0.325 0.349 0.468
O 0.361 0.588 0.588
O 0.363 0.791 0.959
O 0.372 0.359 0.961
O 0.410 0.913 0.292
O 0.423 0.985 0.605
O 0.518 0.938 0.095
O 0.529 0.998 0.397
O 0.535 0.096 0.709
O 0.576 0.595 0.717
O 0.641 0.047 0.212
O 0.641 0.600 0.209
O 0.666 0.701 0.851
O 0.671 0.278 0.855
O 0.676 0.139 0.540
O 0.774 0.177 0.348
O 0.779 0.242 0.643
O 0.785 0.362 0.965
O 0.827 0.847 0.972
O 0.877 0.289 0.455
O 0.879 0.839 0.460
O 0.891 0.908 0.782
O 0.922 0.529 0.097
O 0.923 0.944 0.098

Calculated values
As for the energy with MP2020 corrections: -9.028 eV/atom. Its symmetry is No. 1. As for the total energy: -8.669 eV/atom. The volume is 14.82 Å³/atom. The calculated formation energy is -3014 meV/atom. The calculation puts the total magnetization at 0.016 μB per atom.



The following is a PBE-GGA calculation of TaTi3 after structural relaxation, from the Materials Project database.

abc: 4.133 4.133 4.133
angles: 90.00 90.00 90.00
Positions (direct):
Ta 0.000 0.000 0.000
Ti 0.000 0.500 0.500
Ti 0.500 0.000 0.500
Ti 0.500 0.500 0.000

Calculated values
Its symmetry is No. 221. As for the total energy: -8.791 eV/atom. The volume is 17.65 Å³/atom. The calculated formation energy is 95 meV/atom. The calculation puts the total magnetization at 0.015 μB per atom.



The following is a PBE-GGA calculation of Rb10Al24Cd7Si24O96 after structural relaxation, from the Materials Project database.

abc: 17.822 17.826 17.837
angles: 60.10 60.07 60.03
Positions (direct):
Rb 0.000 0.000 0.000
Rb 0.001 0.000 0.575
Rb 0.002 0.437 0.569
Rb 0.151 0.586 0.684
Rb 0.161 0.096 0.662
Rb 0.565 0.435 0.575
Rb 0.566 0.436 0.999
Rb 0.571 0.007 0.999
Rb 0.660 0.095 0.661
Rb 0.661 0.596 0.662
Al 0.012 0.983 0.200
Al 0.016 0.811 0.550
Al 0.018 0.633 0.375
Al 0.199 0.450 0.550
Al 0.199 0.809 0.018
Al 0.199 0.984 0.380
Al 0.269 0.242 0.442
Al 0.269 0.875 0.627
Al 0.270 0.060 0.807
Al 0.375 0.453 0.200
Al 0.377 0.635 0.548
Al 0.380 0.983 0.014
Al 0.437 0.061 0.271
Al 0.440 0.242 0.626
Al 0.440 0.703 0.808
Al 0.549 0.447 0.381
Al 0.549 0.814 0.200
Al 0.550 0.635 0.013
Al 0.625 0.243 0.272
Al 0.626 0.705 0.441
Al 0.626 0.874 0.807
Al 0.806 0.059 0.441
Al 0.807 0.705 0.625
Al 0.809 0.872 0.270
Cd 0.189 0.002 0.191
Cd 0.404 0.347 0.414
Cd 0.408 0.844 0.419
Cd 0.410 0.844 0.906
Cd 0.578 0.621 0.188
Cd 0.625 0.061 0.265
Cd 0.913 0.838 0.414
Si 0.014 0.634 0.553
Si 0.014 0.986 0.377
Si 0.015 0.809 0.200
Si 0.199 0.985 0.015
Si 0.200 0.449 0.375
Si 0.200 0.810 0.552
Si 0.263 0.882 0.811
Si 0.265 0.056 0.448
Si 0.265 0.244 0.622
Si 0.375 0.449 0.552
Si 0.375 0.634 0.016
Si 0.377 0.984 0.200
Si 0.446 0.244 0.266
Si 0.447 0.699 0.621
Si 0.448 0.055 0.809
Si 0.551 0.450 0.199
Si 0.552 0.634 0.376
Si 0.553 0.811 0.015
Si 0.620 0.243 0.448
Si 0.620 0.882 0.268
Si 0.621 0.700 0.809
Si 0.807 0.056 0.268
Si 0.809 0.882 0.621
Si 0.810 0.699 0.447
O 0.004 0.872 0.254
O 0.008 0.685 0.447
O 0.008 0.882 0.436
O 0.043 0.704 0.262
O 0.044 0.697 0.569
O 0.050 0.000 0.265
O 0.089 0.832 0.099
O 0.090 0.532 0.567
O 0.092 0.999 0.386
O 0.097 0.524 0.395
O 0.098 0.001 0.094
O 0.098 0.827 0.562
O 0.184 0.857 0.911
O 0.185 0.343 0.627
O 0.186 0.848 0.626
O 0.187 0.062 0.419
O 0.187 0.350 0.413
O 0.190 0.063 0.918
O 0.249 0.872 0.734
O 0.251 0.881 0.009
O 0.252 0.167 0.723
O 0.252 0.441 0.438
O 0.252 0.871 0.446
O 0.256 0.156 0.434
O 0.256 0.988 0.780
O 0.257 0.211 0.556
O 0.257 0.990 0.554
O 0.261 0.702 0.568
O 0.261 0.998 0.053
O 0.263 0.477 0.269
O 0.265 0.998 0.260
O 0.267 0.479 0.570
O 0.269 0.696 0.045
O 0.367 0.814 0.821
O 0.368 0.006 0.380
O 0.368 0.256 0.574
O 0.379 0.803 0.574
O 0.380 0.007 0.823
O 0.381 0.254 0.369
O 0.390 0.995 0.099
O 0.392 0.526 0.561
O 0.398 0.532 0.090
O 0.410 0.059 0.190
O 0.414 0.351 0.626
O 0.414 0.621 0.917
O 0.422 0.061 0.909
O 0.423 0.620 0.623
O 0.428 0.343 0.186
O 0.435 0.879 0.253
O 0.436 0.442 0.446
O 0.436 0.685 0.723
O 0.437 0.157 0.733
O 0.438 0.688 0.006
O 0.439 0.165 0.253
O 0.447 0.444 0.252
O 0.447 0.687 0.434
O 0.447 0.869 0.010
O 0.554 0.691 0.555
O 0.554 0.691 0.778
O 0.554 0.989 0.780
O 0.555 0.212 0.554
O 0.556 0.203 0.261
O 0.556 0.992 0.261
O 0.564 0.824 0.092
O 0.565 0.533 0.386
O 0.567 0.485 0.261
O 0.567 0.528 0.099
O 0.568 0.694 0.263
O 0.568 0.699 0.052
O 0.570 0.258 0.381
O 0.571 0.816 0.369
O 0.572 0.803 0.823
O 0.622 0.862 0.187
O 0.627 0.351 0.189
O 0.628 0.342 0.421
O 0.628 0.626 0.406
O 0.628 0.843 0.917
O 0.629 0.621 0.908
O 0.720 0.874 0.255
O 0.722 0.166 0.434
O 0.722 0.688 0.732
O 0.728 0.156 0.255
O 0.733 0.689 0.434
O 0.733 0.872 0.723
O 0.767 0.992 0.261
O 0.776 0.693 0.553
O 0.778 0.989 0.555
O 0.821 0.006 0.369
O 0.821 0.804 0.380
O 0.821 0.815 0.573
O 0.905 0.060 0.186
O 0.909 0.621 0.421
O 0.909 0.858 0.625
O 0.915 0.622 0.628
O 0.916 0.063 0.407
O 0.916 0.852 0.186

Calculated values
As for the energy with MP2020 corrections: -7.478 eV/atom. Its symmetry is No. 1. As for the total energy: -7.068 eV/atom. The volume is 24.93 Å³/atom. The calculated formation energy is -3059 meV/atom. The calculation puts the total magnetization at 0.000 μB per atom.



The following is a PBE-GGA calculation of CaMg6Sb after structural relaxation, from the Materials Project database.

abc: 5.416 6.292 11.658
angles: 90.00 90.00 90.00
Positions (direct):
Mg 0.500 0.751 0.417
Mg 0.000 0.746 0.079
Mg 0.500 0.249 0.417
Mg 0.000 0.000 0.338
Mg 0.000 0.500 0.838
Mg 0.500 0.749 0.917
Mg 0.000 0.754 0.579
Mg 0.500 0.251 0.917
Mg 0.000 0.500 0.336
Mg 0.000 0.246 0.579
Mg 0.000 0.254 0.079
Mg 0.000 0.000 0.836
Sb 0.500 0.000 0.664
Sb 0.500 0.500 0.164
Ca 0.500 0.500 0.670
Ca 0.500 0.000 0.170

Calculated values
As for the energy with MP2020 corrections: -2.109 eV/atom. As for the total energy: -2.085 eV/atom. The polymorph energy (0 for the lowest one) is 0.00 eV per formula unit. The volume is 24.83 Å³/atom. The calculated formation energy is -142 meV/atom. The calculation puts the total magnetization at 0.000 μB per atom.



The following is a PBE-GGA calculation of Na4ScTaSi3O12 after structural relaxation, from the Materials Project database.

abc: 9.183 9.183 22.276
angles: 90.00 90.00 120.00
Positions (direct):
O 0.854 0.485 0.421
O 0.298 0.479 0.755
O 0.964 0.812 0.088
O 0.817 0.791 0.311
O 0.165 0.969 0.193
O 0.676 0.520 0.246
O 0.804 0.969 0.693
O 0.480 0.324 0.746
O 0.150 0.457 0.977
O 0.498 0.635 0.860
O 0.484 0.360 0.144
O 0.009 0.823 0.413
O 0.832 0.302 0.526
O 0.298 0.819 0.255
O 0.676 0.156 0.746
O 0.480 0.156 0.246
O 0.640 0.516 0.644
O 0.343 0.490 0.080
O 0.510 0.657 0.580
O 0.543 0.693 0.977
O 0.484 0.124 0.644
O 0.804 0.835 0.193
O 0.470 0.302 0.026
O 0.698 0.530 0.526
O 0.543 0.850 0.477
O 0.209 0.026 0.311
O 0.844 0.324 0.246
O 0.470 0.168 0.526
O 0.974 0.183 0.311
O 0.181 0.479 0.255
O 0.814 0.991 0.413
O 0.307 0.457 0.477
O 0.515 0.146 0.921
O 0.343 0.853 0.580
O 0.848 0.036 0.088
O 0.521 0.702 0.255
O 0.498 0.863 0.360
O 0.009 0.186 0.913
O 0.365 0.863 0.860
O 0.640 0.124 0.144
O 0.188 0.152 0.088
O 0.177 0.991 0.913
O 0.631 0.485 0.921
O 0.876 0.360 0.644
O 0.844 0.520 0.746
O 0.307 0.850 0.977
O 0.876 0.516 0.144
O 0.137 0.502 0.860
O 0.848 0.812 0.588
O 0.854 0.369 0.921
O 0.147 0.657 0.080
O 0.974 0.791 0.811
O 0.165 0.196 0.693
O 0.177 0.186 0.413
O 0.137 0.635 0.360
O 0.181 0.702 0.755
O 0.631 0.146 0.421
O 0.150 0.693 0.477
O 0.209 0.183 0.811
O 0.188 0.036 0.588
O 0.031 0.835 0.693
O 0.698 0.168 0.026
O 0.147 0.490 0.580
O 0.832 0.530 0.026
O 0.817 0.026 0.811
O 0.365 0.502 0.360
O 0.515 0.369 0.421
O 0.814 0.823 0.913
O 0.510 0.853 0.080
O 0.031 0.196 0.193
O 0.964 0.152 0.588
O 0.521 0.819 0.755
Si 0.670 0.628 0.585
Si 0.003 0.708 0.752
Si 0.958 0.628 0.085
Si 0.292 0.997 0.252
Si 0.705 0.997 0.752
Si 0.670 0.042 0.085
Si 0.038 0.663 0.418
Si 0.292 0.295 0.752
Si 0.337 0.962 0.918
Si 0.625 0.962 0.418
Si 0.337 0.375 0.418
Si 0.038 0.375 0.918
Si 0.705 0.708 0.252
Si 0.625 0.663 0.918
Si 0.372 0.330 0.085
Si 0.003 0.295 0.252
Si 0.958 0.330 0.585
Si 0.372 0.042 0.585
Na 0.710 0.026 0.913
Na 0.377 0.017 0.747
Na 0.649 0.693 0.080
Na 0.974 0.290 0.413
Na 0.649 0.957 0.580
Na 0.043 0.351 0.080
Na 0.307 0.957 0.080
Na 0.316 0.290 0.913
Na 0.043 0.693 0.580
Na 0.316 0.026 0.413
Na 0.641 0.017 0.247
Na 0.000 0.000 0.993
Na 0.667 0.333 0.827
Na 0.307 0.351 0.580
Na 0.000 0.000 0.493
Na 0.641 0.623 0.747
Na 0.377 0.359 0.247
Na 0.667 0.333 0.327
Na 0.974 0.684 0.913
Na 0.333 0.667 0.160
Na 0.983 0.623 0.247
Na 0.983 0.359 0.747
Na 0.333 0.667 0.660
Na 0.710 0.684 0.413
Sc 0.000 0.000 0.351
Sc 0.333 0.667 0.018
Sc 0.667 0.333 0.685
Sc 0.667 0.333 0.185
Sc 0.333 0.667 0.518
Sc 0.000 0.000 0.851
Ta 0.000 0.000 0.146
Ta 0.333 0.667 0.313
Ta 0.667 0.333 0.980
Ta 0.333 0.667 0.813
Ta 0.000 0.000 0.646
Ta 0.667 0.333 0.480

Calculated values
As for the energy with MP2020 corrections: -7.775 eV/atom. As for the total energy: -7.382 eV/atom. The volume is 12.91 Å³/atom. The calculated formation energy is -3054 meV/atom. The calculation puts the total magnetization at 0.000 μB per atom.



The following is a PBE-GGA calculation of ErLuB4Ru2 after structural relaxation, from the Materials Project database.

abc: 5.281 6.310 5.867
angles: 90.00 90.00 90.00
Positions (direct):
Er 0.000 0.086 0.000
Er 0.000 0.914 0.500
Lu 0.500 0.415 0.021
Lu 0.500 0.585 0.521
B 0.168 0.289 0.643
B 0.168 0.711 0.143
B 0.335 0.215 0.377
B 0.335 0.785 0.877
B 0.665 0.215 0.377
B 0.665 0.785 0.877
B 0.832 0.289 0.643
B 0.832 0.711 0.143
Ru 0.000 0.432 0.331
Ru 0.000 0.568 0.831
Ru 0.500 0.069 0.692
Ru 0.500 0.931 0.192

Calculated values
Its symmetry is No. 26. As for the total energy: -7.446 eV/atom. The volume is 12.22 Å³/atom. The calculated formation energy is -652 meV/atom. The calculation puts the total magnetization at 0.000 μB per atom.